## B2P6H60Ir2C18O3F8 (PBE-GGA)

Data for a geometry-optimized B2P6H60Ir2C18O3F8 structure. Values from VASP.

Calculated values
**Space-group type**: P1, No. 1
**Total DFT energy (no corrections)**: -517.51 eV/f.u.
**Volume**: 1071.3 Å³ per cell
**Corrected total energy (MP2020 scheme)**: -5.2855 eV/atom
**Total moment**: 0.004 μB per formula unit
**ΔE_f**: -0.605 eV per atom

```
&SYSTEM
  ibrav = 0, nat = 99, ntyp = 7
/
ATOMIC_SPECIES
B 10.81 B.upf
P 30.97 P.upf
H 1.01 H.upf
Ir 192.22 Ir.upf
C 12.01 C.upf
O 16.00 O.upf
F 19.00 F.upf
CELL_PARAMETERS angstrom
9.405 0.014 -1.227
-1.507 9.868 -0.945
0.097 0.233 11.502
ATOMIC_POSITIONS angstrom
B 6.864 8.209 0.256
B 1.140 1.908 9.076
P 5.828 7.977 5.746
P 2.208 2.060 3.638
P 3.058 7.036 7.461
P 4.850 3.126 1.910
P 5.862 4.668 6.880
P 2.038 5.344 2.386
H 0.949 6.402 8.401
H 6.980 3.820 0.999
H 4.313 9.779 5.114
H 3.718 0.261 4.260
H 1.545 8.875 7.878
H 6.437 1.323 1.472
H 4.989 8.939 3.685
H 3.021 1.098 5.686
H 0.956 6.190 6.606
H 6.959 3.949 2.790
H 6.719 3.270 5.092
H 1.326 6.751 4.207
H 7.189 7.251 3.864
H 0.838 2.838 5.482
H 6.950 9.760 6.951
H 1.083 0.354 2.361
H 4.538 7.608 9.321
H 3.479 2.511 -0.030
H 7.813 4.644 5.389
H 0.139 5.463 3.931
H 1.754 4.981 7.643
H 6.164 5.202 1.788
H 7.821 3.258 6.514
H 0.186 6.860 2.810
H 3.935 5.925 9.410
H 4.059 4.195 -0.121
H -0.295 7.948 -0.464
H 8.304 2.157 9.792
H 5.814 2.626 8.207
H 2.216 7.420 1.133
H 8.018 8.489 4.855
H -0.004 1.595 4.490
H 7.428 4.527 8.750
H 0.522 5.572 0.494
H 2.240 8.960 6.232
H 5.737 1.210 3.117
H 3.390 7.299 5.048
H 4.586 3.075 4.555
H 2.847 7.289 9.831
H 5.181 2.843 -0.472
H 4.229 3.463 8.265
H 3.775 6.538 1.081
H 6.222 5.817 9.025
H 1.708 4.257 0.223
H 7.505 0.240 5.538
H 0.517 9.798 3.814
H 5.510 9.182 7.835
H 2.535 0.941 1.497
H 7.570 6.085 7.905
H 0.323 3.998 1.305
H 7.941 6.795 5.424
H 0.120 3.283 3.906
H 3.207 9.469 7.646
H 4.792 0.691 1.694
H 7.006 8.228 7.869
H 1.052 1.921 1.507
H 4.679 2.563 6.811
H 3.306 7.397 2.556
H 0.269 9.188 9.950
H 7.730 0.933 -0.612
Ir 4.340 6.238 5.818
Ir 3.508 3.862 3.615
C 6.378 8.870 7.239
C 1.674 1.244 2.104
C 5.221 9.338 4.683
C 2.808 0.697 4.686
C 5.074 3.190 7.620
C 2.920 6.806 1.714
C 7.399 7.583 4.890
C 0.633 2.491 4.462
C 1.525 6.048 7.532
C 6.385 4.130 1.871
C 2.461 8.751 7.284
C 5.518 1.426 2.063
C 6.858 5.335 8.273
C 1.059 4.739 0.965
C 7.185 3.884 5.872
C 0.792 6.187 3.431
C 3.666 6.961 9.171
C 4.338 3.169 0.154
O 0.439 8.286 10.297
O 7.582 1.839 -0.957
O 2.930 5.056 5.060
F 8.088 7.625 -0.216
F -0.097 2.477 9.530
F 5.937 7.182 0.526
F 2.062 2.945 8.836
F 7.136 8.959 1.425
F 0.899 1.165 7.897
F 6.347 9.064 -0.763
F 1.646 1.046 10.097
```